Here is a geometry-optimized Sr2LaMn2O7 structure from the Materials Project. Energies are from GGA+U.

Lattice parameters (Å, degrees): 5.560 5.561 10.427 90.41 74.53 91.51
Atoms (fractional coordinates):
O 0.853 0.238 0.818
O 0.807 0.000 0.386
O 0.663 0.755 0.184
O 0.329 0.762 0.818
O 0.305 0.500 0.389
O 0.846 0.755 0.816
O 0.193 0.000 0.614
O 0.337 0.245 0.816
O 0.500 0.500 0.000
O 0.154 0.245 0.184
O 0.694 0.500 0.611
O 0.147 0.762 0.182
O 0.671 0.238 0.182
O 0.000 0.000 0.000
Mn 0.098 0.000 0.805
Mn 0.902 0.000 0.195
Mn 0.401 0.500 0.198
Mn 0.599 0.500 0.802
Sr 0.183 0.500 0.634
Sr 0.317 0.000 0.366
Sr 0.683 0.000 0.634
Sr 0.817 0.500 0.366
La 0.500 0.000 0.000
La 0.000 0.500 0.000

Values from the calculation:
**ΔH_f (0 K)**: -2.83 eV per atom
**Excess energy over the best structure of this formula in the dataset**: 0.13 eV/f.u.